1.
# K4As2Se5 PBE-GGA optimized geometry
data_K4As2Se5
_cell_length_a 7.789
_cell_length_b 23.288
_cell_length_c 9.816
_cell_angle_alpha 90.00
_cell_angle_beta 122.03
_cell_angle_gamma 90.00
_symmetry_space_group_name_H-M 'P 1 21/c 1'
_symmetry_Int_Tables_number 14
loop_
_symmetry_equiv_pos_as_xyz
'x,y,z'
'-x,-y,-z'
'-x,y+1/2,-z+1/2'
'x,-y+1/2,z+1/2'
loop_
_atom_site_label
_atom_site_type_symbol
_atom_site_fract_x
_atom_site_fract_y
_atom_site_fract_z
K1 K 0.234 0.156 0.490
K2 K 0.249 0.541 0.995
K3 K 0.249 0.547 0.496
K4 K 0.252 0.745 0.497
As1 As 0.156 0.142 0.862
As2 As 0.355 0.148 0.173
Se1 Se 0.194 0.643 0.730
Se2 Se 0.238 0.229 0.780
Se3 Se 0.242 0.062 0.760
Se4 Se 0.264 0.059 0.240
Se5 Se 0.305 0.642 0.262
# - theoretical density (g cm⁻³) = 3.1
# - uncorrected energy (eV/cell) = -160.9

***

2.
# K2Sm2As2Se9 PBE-GGA optimized geometry
data_K2Sm2As2Se9
_cell_length_a 17.654
_cell_length_b 8.542
_cell_length_c 22.946
_cell_angle_alpha 90.00
_cell_angle_beta 90.00
_cell_angle_gamma 90.00
_symmetry_space_group_name_H-M 'P n m a'
_symmetry_Int_Tables_number 62
loop_
_symmetry_equiv_pos_as_xyz
'x,y,z'
'-x,-y,-z'
'-x+1/2,-y,z+1/2'
'x+1/2,y,-z+1/2'
'x+1/2,-y+1/2,-z+1/2'
'-x+1/2,y+1/2,z+1/2'
'-x,y+1/2,-z'
'x,-y+1/2,z'
loop_
_atom_site_label
_atom_site_type_symbol
_atom_site_fract_x
_atom_site_fract_y
_atom_site_fract_z
K1 K 0.000 0.000 0.000
K2 K 0.000 0.000 0.500
K3 K 0.091 0.001 0.225
Sm1 Sm 0.172 0.503 0.825
Sm2 Sm 0.248 0.001 0.568
As1 As 0.067 0.250 0.653
As2 As 0.107 0.750 0.667
As3 As 0.131 0.750 0.384
As4 As 0.160 0.250 0.402
Se1 Se 0.032 0.543 0.360
Se2 Se 0.056 0.750 0.792
Se3 Se 0.068 0.250 0.788
Se4 Se 0.089 0.250 0.893
Se5 Se 0.094 0.750 0.894
Se6 Se 0.127 0.250 0.555
Se7 Se 0.129 0.750 0.560
Se8 Se 0.145 0.750 0.032
Se9 Se 0.153 0.250 0.016
Se10 Se 0.158 0.250 0.121
Se11 Se 0.171 0.750 0.135
Se12 Se 0.183 0.520 0.690
Se13 Se 0.209 0.250 0.302
Se14 Se 0.211 0.750 0.296
Se15 Se 0.229 0.016 0.434
# - theoretical density (g cm⁻³) = 4.8
# - uncorrected energy (eV/cell) = -538.7

***

3.
# K5SnAs3 PBE-GGA optimized geometry
data_K5SnAs3
_cell_length_a 9.373
_cell_length_b 8.463
_cell_length_c 17.969
_cell_angle_alpha 90.00
_cell_angle_beta 121.06
_cell_angle_gamma 90.00
_symmetry_space_group_name_H-M 'P 1 21/c 1'
_symmetry_Int_Tables_number 14
loop_
_symmetry_equiv_pos_as_xyz
'x,y,z'
'-x,-y,-z'
'-x,y+1/2,-z+1/2'
'x,-y+1/2,z+1/2'
loop_
_atom_site_label
_atom_site_type_symbol
_atom_site_fract_x
_atom_site_fract_y
_atom_site_fract_z
K1 K 0.054 0.015 0.244
K2 K 0.234 0.519 0.576
K3 K 0.337 0.661 0.259
K4 K 0.341 0.170 0.920
K5 K 0.394 0.008 0.586
Sn1 Sn 0.012 0.141 0.586
As1 As 0.015 0.184 0.435
As2 As 0.259 0.740 0.420
As3 As 0.301 0.228 0.724
# - theoretical density (g cm⁻³) = 2.9
# - uncorrected energy (eV/cell) = -109.9